Below is a geometry-optimized Li4Ti2Fe3Sb3O16 structure, with properties calculated at the GGA+U level.

The value obtained for the MP2020-corrected energy is -7.2534 eV per atom. The calculation puts the offset from the most stable computed form at 10 meV per atom. Its uncorrected energy is -6.619 eV/atom. For the formation energy, the calculation gives -2.2395 eV per atom. Its space group is P1.

Geometry as POSCAR:
```
Li4Ti2Fe3Sb3O16
1.0
6.141 0.000 0.000
0.031 9.793 0.000
0.040 0.311 10.872
Li Ti Fe Sb O
8 4 6 6 32
direct
0.000 0.000 0.000
0.000 0.089 0.685
0.002 0.480 0.011
0.500 0.089 0.185
0.500 0.582 0.833
0.501 0.000 0.500
0.501 0.479 0.510
0.999 0.582 0.333
0.002 0.012 0.375
0.498 0.481 0.193
0.502 0.012 0.874
0.999 0.480 0.693
0.000 0.770 0.837
0.244 0.274 0.434
0.257 0.274 0.934
0.499 0.770 0.337
0.744 0.275 0.935
0.757 0.274 0.434
0.000 0.266 0.190
0.248 0.765 0.591
0.254 0.767 0.090
0.500 0.267 0.690
0.747 0.767 0.091
0.755 0.767 0.590
0.000 0.645 0.520
0.002 0.878 0.160
0.003 0.126 0.500
0.003 0.183 0.025
0.003 0.667 0.010
0.214 0.135 0.272
0.219 0.637 0.740
0.248 0.389 0.112
0.251 0.389 0.612
0.251 0.891 0.429
0.253 0.891 0.932
0.278 0.638 0.238
0.287 0.134 0.772
0.497 0.379 0.841
0.497 0.881 0.165
0.498 0.402 0.342
0.500 0.646 0.020
0.501 0.184 0.525
0.502 0.877 0.660
0.505 0.128 0.999
0.505 0.666 0.510
0.713 0.135 0.772
0.718 0.640 0.241
0.748 0.389 0.612
0.750 0.892 0.930
0.753 0.390 0.112
0.755 0.892 0.432
0.780 0.639 0.739
0.788 0.134 0.273
0.995 0.401 0.842
0.999 0.378 0.342
0.999 0.880 0.665
```

---

Below is a geometry-optimized Fe3O4F2 structure, with properties calculated at the GGA+U level.

The value obtained for the MP2020-corrected energy is -7.2146 eV per atom. The calculation puts the offset from the most stable computed form at 35 meV per atom. Its uncorrected energy is -6.055 eV/atom. For the formation energy, the calculation gives -1.7667 eV per atom. Its space group is P-1.

Geometry as POSCAR:
```
Fe3O4F2
1.0
4.662 0.000 0.000
0.042 5.556 0.000
0.059 0.651 7.704
Fe O F
6 8 4
direct
0.000 0.000 0.000
0.005 0.327 0.687
0.458 0.160 0.343
0.500 0.500 0.000
0.542 0.840 0.657
0.995 0.673 0.313
0.196 0.965 0.215
0.200 0.284 0.910
0.304 0.126 0.573
0.306 0.464 0.235
0.694 0.536 0.765
0.696 0.874 0.427
0.800 0.716 0.090
0.804 0.035 0.785
0.192 0.630 0.564
0.295 0.789 0.887
0.705 0.211 0.113
0.808 0.370 0.436
```

---

Below is a geometry-optimized Pr12Mn11O36 structure, with properties calculated at the GGA+U level.

The value obtained for the MP2020-corrected energy is -8.6247 eV per atom. Its uncorrected energy is -7.895 eV/atom. For the formation energy, the calculation gives -2.9251 eV per atom. Its space group is P2_1/c.

Geometry as POSCAR:
```
Pr12Mn11O36
1.0
7.881 0.000 0.000
0.000 23.440 0.000
-7.679 0.000 7.928
Pr Mn O
24 22 72
direct
0.040 0.082 0.275
0.040 0.418 0.775
0.043 0.749 0.778
0.043 0.751 0.278
0.080 0.077 0.797
0.080 0.423 0.297
0.448 0.579 0.241
0.448 0.921 0.741
0.452 0.581 0.720
0.452 0.919 0.220
0.456 0.249 0.234
0.456 0.251 0.734
0.544 0.749 0.266
0.544 0.751 0.766
0.548 0.081 0.780
0.548 0.419 0.280
0.552 0.079 0.259
0.552 0.421 0.759
0.920 0.577 0.703
0.920 0.923 0.203
0.957 0.249 0.722
0.957 0.251 0.222
0.960 0.582 0.225
0.960 0.918 0.725
0.000 0.000 0.000
0.000 0.000 0.500
0.000 0.500 0.000
0.000 0.500 0.500
0.002 0.166 0.999
0.002 0.334 0.499
0.005 0.166 0.502
0.005 0.334 0.002
0.496 0.664 0.999
0.496 0.668 0.498
0.496 0.832 0.998
0.496 0.836 0.499
0.500 0.000 0.500
0.500 0.500 0.000
0.504 0.164 0.501
0.504 0.168 0.002
0.504 0.332 0.502
0.504 0.336 0.001
0.995 0.666 0.998
0.995 0.834 0.498
0.998 0.666 0.501
0.998 0.834 0.001
0.012 0.583 0.964
0.012 0.917 0.464
0.023 0.249 0.470
0.023 0.251 0.970
0.025 0.583 0.471
0.025 0.917 0.971
0.190 0.514 0.232
0.190 0.986 0.732
0.198 0.514 0.745
0.198 0.986 0.245
0.199 0.651 0.742
0.199 0.849 0.242
0.205 0.654 0.245
0.205 0.846 0.745
0.207 0.182 0.244
0.207 0.318 0.744
0.218 0.183 0.750
0.218 0.317 0.250
0.276 0.013 0.045
0.276 0.487 0.545
0.285 0.683 0.535
0.285 0.817 0.035
0.286 0.682 0.035
0.286 0.818 0.535
0.294 0.151 0.540
0.294 0.153 0.041
0.294 0.347 0.541
0.294 0.349 0.040
0.299 0.014 0.546
0.299 0.486 0.046
0.472 0.083 0.440
0.472 0.417 0.940
0.477 0.749 0.947
0.477 0.751 0.447
0.498 0.091 0.965
0.498 0.409 0.465
0.502 0.591 0.535
0.502 0.909 0.035
0.523 0.249 0.553
0.523 0.251 0.053
0.528 0.583 0.060
0.528 0.917 0.560
0.701 0.514 0.954
0.701 0.986 0.454
0.706 0.651 0.960
0.706 0.653 0.459
0.706 0.847 0.959
0.706 0.849 0.460
0.714 0.182 0.465
0.714 0.318 0.965
0.715 0.183 0.965
0.715 0.317 0.465
0.724 0.513 0.455
0.724 0.987 0.955
0.782 0.683 0.750
0.782 0.817 0.250
0.793 0.682 0.256
0.793 0.818 0.756
0.795 0.154 0.255
0.795 0.346 0.755
0.801 0.151 0.758
0.801 0.349 0.258
0.802 0.014 0.755
0.802 0.486 0.255
0.810 0.014 0.268
0.810 0.486 0.768
0.975 0.083 0.029
0.975 0.417 0.529
0.977 0.749 0.030
0.977 0.751 0.530
0.988 0.083 0.536
0.988 0.417 0.036
```

---

Below is a geometry-optimized Tl2CrF6 structure, with properties calculated at the GGA+U level.

The value obtained for the MP2020-corrected energy is -5.3116 eV per atom. Its uncorrected energy is -4.781 eV/atom. For the formation energy, the calculation gives -2.4376 eV per atom. Its space group is Fm-3m.

Geometry as POSCAR:
```
Tl2CrF6
1.0
0.000 4.220 4.220
4.220 0.000 4.220
4.220 4.220 0.000
Tl Cr F
2 1 6
direct
0.250 0.250 0.250
0.750 0.750 0.750
0.000 0.000 0.000
0.225 0.225 0.775
0.225 0.775 0.225
0.225 0.775 0.775
0.775 0.225 0.225
0.775 0.225 0.775
0.775 0.775 0.225
```